(1)
## Na4Al3Si3CNO13 (PBE-GGA)

Data for a relaxed Na4Al3Si3CNO13 crystal. Values from VASP.

```
&SYSTEM
  ibrav = 0, nat = 50, ntyp = 6
/
ATOMIC_SPECIES
Na 22.99 Na.upf
Al 26.98 Al.upf
Si 28.09 Si.upf
C 12.01 C.upf
N 14.01 N.upf
O 16.00 O.upf
CELL_PARAMETERS angstrom
6.361 -6.362 0.000
6.361 6.362 0.000
0.000 0.000 9.188
ATOMIC_POSITIONS angstrom
Na 5.585 3.182 0.000
Na 3.180 0.745 5.572
Na 3.180 -0.745 0.977
Na 7.138 3.182 4.594
Na 5.585 -3.182 4.594
Na 9.542 0.745 0.977
Na 9.542 -0.745 5.572
Na 7.138 -3.182 0.000
Al 0.000 0.000 0.494
Al 0.000 0.000 5.088
Al 4.777 1.586 2.788
Al 4.777 -1.586 7.382
Al 7.945 1.586 7.382
Al 7.945 -1.586 2.788
Si 7.941 -4.780 2.791
Si 4.781 4.780 2.791
Si 7.941 4.780 7.385
Si 6.361 0.000 0.492
Si 6.361 0.000 5.086
Si 4.781 -4.780 7.385
C 3.181 3.181 7.384
C 3.181 -3.181 2.790
N 3.181 3.181 8.584
N 3.181 -3.181 3.990
O 3.181 3.181 6.152
O 5.752 5.056 4.086
O 1.307 0.601 1.504
O 3.117 1.295 3.279
O 5.083 3.246 2.310
O 1.307 -0.601 6.098
O 6.970 5.056 8.680
O 7.639 3.246 6.904
O 3.117 -1.295 7.873
O 5.814 1.247 4.175
O 5.113 0.539 1.409
O 5.113 -0.539 6.004
O 6.908 1.247 8.769
O 3.181 -3.181 1.558
O 5.814 -1.247 8.769
O 7.609 0.539 6.004
O 7.609 -0.539 1.409
O 6.908 -1.247 4.175
O 9.605 1.295 7.873
O 5.083 -3.246 6.904
O 5.752 -5.056 8.680
O 11.415 0.601 6.098
O 7.639 -3.246 2.310
O 9.605 -1.295 3.279
O 11.415 -0.601 1.504
O 6.970 -5.056 4.086
```

theoretical density = 2.19 g cm⁻³
energy of formation = -2833 meV/atom
raw total energy = -7.0631 eV/atom

***

(2)
## Ba2Sr7I18 (PBE-GGA)

Data for a relaxed Ba2Sr7I18 crystal. Values from VASP.

```
&SYSTEM
  ibrav = 0, nat = 27, ntyp = 3
/
ATOMIC_SPECIES
Ba 137.33 Ba.upf
Sr 87.62 Sr.upf
I 126.90 I.upf
CELL_PARAMETERS angstrom
10.746 0.000 0.000
1.246 11.455 0.000
5.368 1.690 10.702
ATOMIC_POSITIONS angstrom
Ba 2.315 4.935 3.002
Ba 15.045 8.210 7.700
Sr 5.407 3.057 6.629
Sr 9.120 10.420 9.465
Sr 6.354 10.519 2.198
Sr 8.680 6.573 5.351
Sr 11.006 2.626 8.504
Sr 8.240 2.725 1.237
Sr 11.953 10.088 4.073
I 1.787 8.134 1.445
I 4.363 10.111 4.778
I 6.387 11.593 8.046
I 5.342 6.062 5.046
I 7.763 7.632 8.331
I 8.501 2.006 10.557
I 5.471 2.297 3.238
I 5.995 7.623 0.845
I 8.657 3.414 6.280
I 8.702 9.731 4.422
I 11.365 5.522 9.856
I 11.889 10.848 7.464
I 8.858 11.139 0.145
I 9.597 5.513 2.371
I 12.018 7.083 5.656
I 10.972 1.552 2.655
I 12.997 3.034 5.924
I 15.572 5.011 9.257
```

theoretical density = 4.00 g cm⁻³
energy of formation = -1928 meV/atom
raw total energy = -3.2718 eV/atom

***

(3)
## NaH2SeO4 (PBE-GGA)

Data for a relaxed NaH2SeO4 crystal. Values from VASP.

```
&SYSTEM
  ibrav = 0, nat = 32, ntyp = 4
/
ATOMIC_SPECIES
Na 22.99 Na.upf
H 1.01 H.upf
Se 78.96 Se.upf
O 16.00 O.upf
CELL_PARAMETERS angstrom
3.476 -5.676 0.000
3.476 5.676 0.000
0.000 0.000 9.817
ATOMIC_POSITIONS angstrom
Na 1.651 1.891 0.000
Na 1.651 -1.891 4.909
Na 5.301 1.891 0.000
Na 5.301 -1.891 4.909
H 1.816 0.983 5.202
H 3.476 3.560 2.520
H 3.476 2.089 2.985
H 1.816 -0.983 0.293
H 5.136 0.983 5.202
H 3.476 -2.089 7.894
H 3.476 -3.560 7.429
H 5.136 -0.983 0.293
Se 3.476 4.588 8.124
Se 3.476 0.727 6.830
Se 3.476 -0.727 1.922
Se 3.476 -4.588 3.215
O 3.476 4.555 6.465
O 2.091 1.545 6.009
O 1.379 0.284 3.770
O 1.379 -0.284 8.678
O 3.476 3.044 8.771
O 3.476 3.013 3.327
O 3.476 0.771 1.173
O 2.091 -1.545 1.101
O 4.861 1.545 6.009
O 3.476 -0.771 6.082
O 3.476 -3.013 8.235
O 3.476 -3.044 3.862
O 5.573 0.284 3.770
O 5.573 -0.284 8.678
O 4.861 -1.545 1.101
O 3.476 -4.555 1.556
```

theoretical density = 2.88 g cm⁻³
energy of formation = -1455 meV/atom
raw total energy = -5.0364 eV/atom

***

(4)
## Nd2MgSe4 (PBE-GGA)

Data for a relaxed Nd2MgSe4 crystal. Values from VASP.

```
&SYSTEM
  ibrav = 0, nat = 56, ntyp = 3
/
ATOMIC_SPECIES
Nd 144.24 Nd.upf
Mg 24.30 Mg.upf
Se 78.96 Se.upf
CELL_PARAMETERS angstrom
13.605 0.000 0.000
0.000 8.147 0.000
0.000 0.000 13.649
ATOMIC_POSITIONS angstrom
Nd 1.472 0.933 0.000
Nd 1.724 5.021 8.754
Nd 1.828 3.007 4.202
Nd 1.836 7.080 4.211
Nd 4.967 7.080 11.035
Nd 4.975 3.007 11.026
Nd 5.079 5.021 1.930
Nd 5.330 0.933 6.824
Nd 8.275 7.214 0.000
Nd 8.526 3.126 8.754
Nd 8.631 5.140 4.202
Nd 8.639 1.067 4.211
Nd 11.769 1.067 11.035
Nd 11.777 5.140 11.026
Nd 11.881 3.126 1.930
Nd 12.133 7.214 6.824
Mg 1.525 5.008 0.107
Mg 1.715 0.974 8.668
Mg 5.087 0.974 1.844
Mg 5.277 5.008 6.932
Mg 8.328 3.139 0.107
Mg 8.518 7.173 8.668
Mg 11.890 7.173 1.844
Mg 12.080 3.139 6.932
Se 0.143 0.964 2.661
Se 0.351 5.103 2.493
Se 0.388 5.027 6.055
Se 0.641 1.022 6.200
Se 2.847 0.963 11.083
Se 2.862 5.037 11.440
Se 3.154 7.055 1.211
Se 3.169 2.954 1.261
Se 3.633 2.954 8.085
Se 3.649 7.055 8.035
Se 3.941 5.037 4.616
Se 3.955 0.963 4.258
Se 6.161 1.022 13.025
Se 6.415 5.027 12.880
Se 6.451 5.103 9.318
Se 6.659 0.964 9.485
Se 6.946 7.183 2.661
Se 7.154 3.044 2.493
Se 7.191 3.120 6.055
Se 7.444 7.125 6.200
Se 9.650 7.184 11.083
Se 9.664 3.110 11.440
Se 9.956 1.092 1.211
Se 9.972 5.193 1.261
Se 10.436 5.193 8.085
Se 10.452 1.092 8.035
Se 10.744 3.110 4.616
Se 10.758 7.184 4.258
Se 12.964 7.125 13.025
Se 13.217 3.120 12.880
Se 13.254 3.044 9.318
Se 13.462 7.183 9.485
```

theoretical density = 5.52 g cm⁻³
energy of formation = -1934 meV/atom
raw total energy = -5.2533 eV/atom

***

(5)
## CuH18PdC4N4O11 (PBE-GGA)

Data for a relaxed CuH18PdC4N4O11 crystal. Values from VASP.

```
&SYSTEM
  ibrav = 0, nat = 39, ntyp = 6
/
ATOMIC_SPECIES
Cu 63.55 Cu.upf
H 1.01 H.upf
Pd 106.42 Pd.upf
C 12.01 C.upf
N 14.01 N.upf
O 16.00 O.upf
CELL_PARAMETERS angstrom
8.365 -3.577 0.000
8.365 3.577 0.000
-3.188 0.000 6.659
ATOMIC_POSITIONS angstrom
Cu 0.000 0.000 0.000
H 5.967 2.304 2.063
H 5.037 2.115 3.431
H 4.734 1.205 2.071
H 7.575 2.304 4.596
H 2.794 0.223 4.596
H 2.170 0.076 6.031
H 8.506 2.115 3.228
H 4.432 0.809 6.311
H 9.110 0.809 0.348
H 4.528 -0.894 2.496
H 8.808 1.205 4.588
H 5.773 -1.813 1.884
H 10.749 0.223 2.064
H 11.372 0.076 0.628
H 5.276 -2.008 3.459
H 9.014 -0.894 4.164
H 7.770 -1.813 4.776
H 8.266 -2.008 3.200
Pd 6.771 0.149 3.330
C 2.013 0.193 1.848
C 2.697 0.166 0.456
C 11.529 0.193 4.812
C 10.846 0.166 6.204
N 5.479 1.616 2.651
N 8.063 1.616 4.008
N 5.441 -1.314 2.718
N 8.101 -1.314 3.941
O 0.720 0.183 1.846
O -1.287 0.185 6.094
O 2.741 0.213 2.856
O 3.939 0.134 0.413
O 8.365 1.366 0.000
O 3.028 0.097 5.547
O 10.514 0.097 1.112
O 10.802 0.213 3.804
O 9.604 0.134 6.246
O 14.829 0.185 0.565
O 12.822 0.183 4.813
```

theoretical density = 1.95 g cm⁻³
energy of formation = -971 meV/atom
raw total energy = -5.7780 eV/atom

***

(6)
## MgTi2S6 (PBE-GGA)

Data for a relaxed MgTi2S6 crystal. Values from VASP.

```
&SYSTEM
  ibrav = 0, nat = 9, ntyp = 3
/
ATOMIC_SPECIES
Mg 24.30 Mg.upf
Ti 47.87 Ti.upf
S 32.06 S.upf
CELL_PARAMETERS angstrom
5.035 0.000 0.000
0.000 3.442 0.000
-0.005 0.000 9.194
ATOMIC_POSITIONS angstrom
Mg 0.000 0.000 0.000
Ti 0.042 1.721 5.677
Ti 2.477 0.000 2.889
S 5.032 0.000 3.880
S 1.264 1.721 1.395
S 1.296 0.000 7.034
S 2.509 1.721 4.620
S 3.691 1.721 1.392
S 3.814 0.000 7.020
```

theoretical density = 3.26 g cm⁻³
energy of formation = -1308 meV/atom
raw total energy = -5.6625 eV/atom

***

(7)
## MgHg5 (PBE-GGA)

Data for a relaxed MgHg5 crystal. Values from VASP.

```
&SYSTEM
  ibrav = 0, nat = 6, ntyp = 2
/
ATOMIC_SPECIES
Mg 24.30 Mg.upf
Hg 200.59 Hg.upf
CELL_PARAMETERS angstrom
5.076 0.000 0.000
0.000 1.790 8.480
0.000 -1.790 8.480
ATOMIC_POSITIONS angstrom
Mg 0.000 0.000 0.000
Hg 0.000 0.000 5.762
Hg 0.000 0.000 11.168
Hg 2.538 0.000 1.921
Hg 2.538 0.000 7.699
Hg 2.538 0.000 13.200
```

theoretical density = 11.07 g cm⁻³
energy of formation = -26 meV/atom
raw total energy = -0.5461 eV/atom

***

(8)
## USe (PBE-GGA)

Data for a relaxed USe crystal. Values from VASP.

```
&SYSTEM
  ibrav = 0, nat = 2, ntyp = 2
/
ATOMIC_SPECIES
U 238.03 U.upf
Se 78.96 Se.upf
CELL_PARAMETERS angstrom
0.000 2.866 2.866
2.866 0.000 2.866
2.866 2.866 0.000
ATOMIC_POSITIONS angstrom
U 0.000 0.000 0.000
Se 2.866 2.866 2.866
```

theoretical density = 11.18 g cm⁻³
energy of formation = -1224 meV/atom
raw total energy = -8.3814 eV/atom